First-principles (PBE) data for a geometry-optimized SmCdCu structure, as listed in the Materials Project database.

Structure (CIF):
```
data_SmCdCu
_space_group_name_H-M_alt 'P 1'
_space_group_IT_number 1
_space_group_name_Hall 'P 1'
_cell_length_a 7.6459
_cell_length_b 7.6459
_cell_length_c 3.9650
_cell_angle_alpha 90.00
_cell_angle_beta 90.00
_cell_angle_gamma 120.00
loop_
_atom_site_label
_atom_site_type_symbol
_atom_site_fract_x
_atom_site_fract_y
_atom_site_fract_z
_atom_site_occupancy
Sm1 Sm 0.0000 0.5868 0.0000 1
Sm2 Sm 0.4132 0.4132 0.0000 1
Sm3 Sm 0.5868 0.0000 0.0000 1
Cd1 Cd 0.0000 0.2489 0.5000 1
Cd2 Cd 0.2489 0.0000 0.5000 1
Cd3 Cd 0.7511 0.7511 0.5000 1
Cu1 Cu 0.0000 0.0000 0.0000 1
Cu2 Cu 0.3333 0.6667 0.5000 1
Cu3 Cu 0.6667 0.3333 0.5000 1
```

Electronic total energy = -31.70 eV for the cell shown

First-principles (PBE) data for a geometry-optimized Sm2CdCu2 structure, as listed in the Materials Project database.

Structure (CIF):
```
data_Sm2CdCu2
_space_group_name_H-M_alt 'P 1'
_space_group_IT_number 1
_space_group_name_Hall 'P 1'
_cell_length_a 7.7505
_cell_length_b 7.7505
_cell_length_c 3.7249
_cell_angle_alpha 90.00
_cell_angle_beta 90.00
_cell_angle_gamma 90.00
loop_
_atom_site_label
_atom_site_type_symbol
_atom_site_fract_x
_atom_site_fract_y
_atom_site_fract_z
_atom_site_occupancy
Sm1 Sm 0.1786 0.3214 0.0000 1
Sm2 Sm 0.3214 0.8214 0.0000 1
Sm3 Sm 0.6786 0.1786 0.0000 1
Sm4 Sm 0.8214 0.6786 0.0000 1
Cd1 Cd 0.0000 0.0000 0.5000 1
Cd2 Cd 0.5000 0.5000 0.5000 1
Cu1 Cu 0.1162 0.6162 0.5000 1
Cu2 Cu 0.3838 0.1162 0.5000 1
Cu3 Cu 0.6162 0.8838 0.5000 1
Cu4 Cu 0.8838 0.3838 0.5000 1
```

Electronic total energy = -39.83 eV for the cell shown

First-principles (PBE) data for a geometry-optimized Tb2CdCu2 structure, as listed in the Materials Project database.

Structure (CIF):
```
data_Tb2CdCu2
_space_group_name_H-M_alt 'P 1'
_space_group_IT_number 1
_space_group_name_Hall 'P 1'
_cell_length_a 7.6565
_cell_length_b 7.6565
_cell_length_c 3.6507
_cell_angle_alpha 90.00
_cell_angle_beta 90.00
_cell_angle_gamma 90.00
loop_
_atom_site_label
_atom_site_type_symbol
_atom_site_fract_x
_atom_site_fract_y
_atom_site_fract_z
_atom_site_occupancy
Tb1 Tb 0.1769 0.3231 0.0000 1
Tb2 Tb 0.3231 0.8231 0.0000 1
Tb3 Tb 0.6769 0.1769 0.0000 1
Tb4 Tb 0.8231 0.6769 0.0000 1
Cd1 Cd 0.0000 0.0000 0.5000 1
Cd2 Cd 0.5000 0.5000 0.5000 1
Cu1 Cu 0.1168 0.6168 0.5000 1
Cu2 Cu 0.3832 0.1168 0.5000 1
Cu3 Cu 0.6168 0.8832 0.5000 1
Cu4 Cu 0.8832 0.3832 0.5000 1
```

Electronic total energy = -39.73 eV for the cell shown

| no. | ρ (g/cm³) |
| --- | --- |
| 1 | 8.10 |
| 2 | 8.02 |
| 3 | 8.65 |